# 1
This record from Materials Project describes an optimized crystal structure of KTh2Te6. The functional is r2SCAN.

Cell and atoms, written as CIF:
```
data_KTh2Te6
_chemical_formula_sum 'K2 Th4 Te12'
_space_group_name_H-M_alt 'A m m 2'
_space_group_IT_number 38
_cell_length_a 6.220
_cell_length_b 4.433
_cell_length_c 23.969
_cell_angle_alpha 90.00
_cell_angle_beta 90.00
_cell_angle_gamma 90.00
loop_
_space_group_symop_operation_xyz
'x,y,z'
'-x,-y,z'
'-x,y,z'
'x,-y,z'
'x,y+1/2,z+1/2'
'-x,-y+1/2,z+1/2'
'-x,y+1/2,z+1/2'
'x,-y+1/2,z+1/2'
loop_
_atom_site_label
_atom_site_fract_x
_atom_site_fract_y
_atom_site_fract_z
_atom_site_occupancy
K1 0.000 0.000 0.000 1
Th1 0.000 0.000 0.182 1
Th2 0.500 0.000 0.825 1
Te1 0.000 0.000 0.778 1
Te2 0.246 0.000 0.607 1
Te3 0.259 0.000 0.400 1
Te4 0.500 0.000 0.229 1
```



# 2
This record from Materials Project describes an optimized crystal structure of K2UTe3. The functional is r2SCAN.

Cell and atoms, written as CIF:
```
data_K2UTe3
_chemical_formula_sum 'K8 U4 Te12'
_space_group_name_H-M_alt 'C 1 2/m 1'
_space_group_IT_number 12
_cell_length_a 8.001
_cell_length_b 13.881
_cell_length_c 8.707
_cell_angle_alpha 90.00
_cell_angle_beta 108.23
_cell_angle_gamma 90.00
loop_
_space_group_symop_operation_xyz
'x,y,z'
'-x,-y,-z'
'-x,y,-z'
'x,-y,z'
'x+1/2,y+1/2,z'
'-x+1/2,-y+1/2,-z'
'-x+1/2,y+1/2,-z'
'x+1/2,-y+1/2,z'
loop_
_atom_site_label
_atom_site_fract_x
_atom_site_fract_y
_atom_site_fract_z
_atom_site_occupancy
K1 0.000 0.000 0.000 1
K2 0.000 0.154 0.500 1
K3 0.000 0.500 0.500 1
U1 0.000 0.332 0.000 1
Te1 0.202 0.500 0.214 1
Te2 0.240 0.314 0.783 1
```



# 3
This record from Materials Project describes an optimized crystal structure of KYTe2. The functional is r2SCAN.

Cell and atoms, written as CIF:
```
data_KYTe2
_chemical_formula_sum 'K3 Y3 Te6'
_space_group_name_H-M_alt 'R -3 m'
_space_group_IT_number 166
_space_group_name_Hall '-R 3 2"'
_cell_length_a 4.4954
_cell_length_b 4.4954
_cell_length_c 24.5011
_cell_angle_alpha 90.00
_cell_angle_beta 90.00
_cell_angle_gamma 120.00
loop_
_atom_site_label
_atom_site_fract_x
_atom_site_fract_y
_atom_site_fract_z
_atom_site_occupancy
K1 0.0000 0.0000 0.0000 1
Y1 0.0000 0.0000 0.5000 1
Te1 0.0000 0.0000 0.2367 1
```



# 4
This record from Materials Project describes an optimized crystal structure of KZr12Te16. The functional is r2SCAN.

Cell and atoms, written as CIF:
```
data_KZr12Te16
_chemical_formula_sum 'K1 Zr12 Te16'
_space_group_name_H-M_alt 'P -1'
_space_group_IT_number 2
_cell_length_a 7.975
_cell_length_b 11.128
_cell_length_c 11.821
_cell_angle_alpha 118.05
_cell_angle_beta 109.70
_cell_angle_gamma 90.01
loop_
_space_group_symop_operation_xyz
'x,y,z'
'-x,-y,-z'
loop_
_atom_site_label
_atom_site_fract_x
_atom_site_fract_y
_atom_site_fract_z
_atom_site_occupancy
K1 0.000 0.000 0.000 1
Zr1 0.120 0.366 0.492 1
Zr2 0.188 0.492 0.126 1
Zr3 0.194 0.128 0.635 1
Zr4 0.309 0.873 0.366 1
Zr5 0.312 0.508 0.873 1
Zr6 0.377 0.635 0.508 1
Te1 0.041 0.667 0.333 1
Te2 0.047 0.053 0.346 1
Te3 0.152 0.708 0.053 1
Te4 0.230 0.655 0.708 1
Te5 0.272 0.346 0.293 1
Te6 0.349 0.292 0.947 1
Te7 0.453 0.947 0.655 1
Te8 0.459 0.334 0.666 1
```



| no. | total magnetization (μB per cell) | calculated total energy (Ry per atom) | DFT formation energy (eV per formula unit) |
| --- | --- | --- | --- |
| 1 | 0.157 | -2.58899 | -11.6 |
| 2 | 8.000 | -2.15340 | -7.6 |
| 3 | 0.000 | -1.54072 | -6.7 |
| 4 | 0.000 | -1.81927 | -32.1 |